Rb3FeF6 | r²SCAN | relaxed

a b c (Å): 6.4089 6.4089 6.4089
angles (deg): 60.00 60.00 60.00
Closest atoms and distances in Å follow each position.
Element x y z (fractional)
Rb1 0.0000 0.0000 0.0000  6 F 2.60
Rb2 0.2500 0.2500 0.2500  12 F 3.22
Rb3 0.7500 0.7500 0.7500  12 F 3.22
Fe1 0.5000 0.5000 0.5000  6 F 1.93
F1 0.2865 0.2865 0.7135  1 Fe 1.93
F2 0.2865 0.7135 0.2865  1 Fe 1.93
F3 0.2865 0.7135 0.7135  1 Fe 1.93
F4 0.7135 0.2865 0.2865  1 Fe 1.93
F5 0.7135 0.2865 0.7135  1 Fe 1.93
F6 0.7135 0.7135 0.2865  1 Fe 1.93

Summary:
DFT formation energy: -2.868 eV per atom
E: -103.642 eV/cell